VASP calculation (PBE) on Y3Cu3Sb4 after structural relaxation.

abc: 8.273 8.273 8.273
angles: 109.47 109.47 109.47
Element x y z (fractional)
Cu (0.625, 0.375, 0.250)
Cu (0.750, 0.875, 0.125)
Cu (0.125, 0.750, 0.875)
Cu (0.875, 0.125, 0.750)
Cu (0.375, 0.250, 0.625)
Cu (0.250, 0.625, 0.375)
Sb (0.340, 0.340, 0.340)
Sb (0.840, 0.840, 0.840)
Sb (0.500, 0.000, 0.660)
Sb (0.000, 0.660, 0.500)
Sb (0.160, 0.500, 0.000)
Sb (0.660, 0.500, 0.000)
Sb (0.000, 0.160, 0.500)
Sb (0.500, 0.000, 0.160)
Y (0.750, 0.375, 0.625)
Y (0.625, 0.750, 0.375)
Y (0.875, 0.250, 0.125)
Y (0.250, 0.125, 0.875)
Y (0.125, 0.875, 0.250)
Y (0.375, 0.625, 0.750)

Formation energy, eV/atom: -0.801
Symmetry: No. 220
Piezoelectric modulus e_max, C/m2: 0.58